Density functional theory data (PBE with a Hubbard U) for an optimized crystal structure of Li4Cr3NiO8.

a = 5.900 Å, b = 5.093 Å, c = 5.097 Å
α = 70.21°, β = 90.00°, γ = 90.00°
Positions (direct):
O 0.266 0.742 0.775
O 0.266 0.258 0.225
O 0.000 0.765 0.233
O 0.500 0.752 0.226
O 0.000 0.235 0.767
O 0.500 0.248 0.774
O 0.734 0.742 0.775
O 0.734 0.258 0.225
Ni 0.000 0.500 0.000
Li 0.000 0.000 0.500
Li 0.243 0.500 0.500
Li 0.757 0.500 0.500
Li 0.500 0.000 0.500
Cr 0.750 0.000 0.000
Cr 0.500 0.500 0.000
Cr 0.250 0.000 0.000

Output
Distance to the lowest polymorph of the same formula = 0 meV/atom
Energy of formation = -34.97 eV/f.u.
Corrected total energy (MP2020 scheme) = -7.31 eV/atom

Density functional theory data (PBE with a Hubbard U) for an optimized crystal structure of Sr2Mn2O5.

a = 5.716 Å, b = 5.716 Å, c = 7.376 Å
α = 90.00°, β = 90.00°, γ = 90.01°
Positions (direct):
O 0.736 0.764 0.750
O 0.000 0.500 0.000
O 0.736 0.236 0.750
O 0.264 0.236 0.250
O 0.264 0.764 0.750
O 0.264 0.236 0.750
O 0.264 0.764 0.250
O 0.736 0.236 0.250
O 0.000 0.500 0.500
O 0.736 0.764 0.250
Sr 0.000 0.000 0.000
Sr 0.500 0.500 0.500
Sr 0.000 0.000 0.500
Sr 0.500 0.500 0.000
Mn 0.500 0.000 0.750
Mn 0.500 0.000 0.250
Mn 0.000 0.500 0.750
Mn 0.000 0.500 0.250

Output
Distance to the lowest polymorph of the same formula = 59 meV/atom
Energy of formation = -22.62 eV/f.u.
Corrected total energy (MP2020 scheme) = -7.67 eV/atom

Density functional theory data (PBE with a Hubbard U) for an optimized crystal structure of CrIrO4.

a = 4.549 Å, b = 4.549 Å, c = 3.118 Å
α = 90.00°, β = 90.00°, γ = 91.02°
Positions (direct):
O 0.310 0.690 0.500
O 0.196 0.196 0.000
O 0.690 0.310 0.500
O 0.804 0.804 0.000
Cr 0.000 0.000 0.500
Ir 0.500 0.500 0.000

Output
Energy of formation = -10.31 eV/f.u.
Corrected total energy (MP2020 scheme) = -8.10 eV/atom

Density functional theory data (PBE with a Hubbard U) for an optimized crystal structure of BaTbInWO6.

a = 6.012 Å, b = 6.012 Å, c = 6.012 Å
α = 60.00°, β = 60.00°, γ = 60.00°
Positions (direct):
O 0.269 0.731 0.731
O 0.731 0.731 0.269
O 0.269 0.731 0.269
O 0.731 0.269 0.269
O 0.269 0.269 0.731
O 0.731 0.269 0.731
W 0.500 0.500 0.500
Tb 0.000 0.000 0.000
Ba 0.750 0.750 0.750
In 0.250 0.250 0.250

Output
Energy of formation = -27.29 eV/f.u.
Corrected total energy (MP2020 scheme) = -7.92 eV/atom

Density functional theory data (PBE with a Hubbard U) for an optimized crystal structure of Li6V3P8O29.

a = 9.800 Å, b = 9.805 Å, c = 13.998 Å
α = 90.59°, β = 90.08°, γ = 119.89°
Positions (direct):
O 0.667 0.333 0.976
O 0.515 0.183 0.328
O 0.331 0.661 0.524
O 0.225 0.016 0.562
O 0.079 0.341 0.343
O 0.746 0.662 0.162
O 0.794 0.797 0.749
O 0.466 0.384 0.172
O 0.382 0.926 0.833
O 0.014 0.802 0.240
O 0.664 0.742 0.342
O 0.744 0.083 0.662
O 0.998 0.218 0.571
O 0.916 0.533 0.170
O 0.770 0.000 0.064
O 0.339 0.087 0.162
O 0.669 0.483 0.331
O 0.235 0.239 0.431
O 0.987 0.768 0.061
O 0.920 0.250 0.161
O 0.255 0.923 0.343
O 0.530 0.904 0.334
O 0.786 0.986 0.242
O 0.189 0.512 0.170
O 0.914 0.379 0.670
O 0.531 0.621 0.828
O 0.987 0.785 0.420
O 0.336 0.256 0.665
O 0.257 0.342 0.844
O 0.663 0.919 0.842
O 0.617 0.532 0.670
O 0.190 0.672 0.675
O 0.512 0.324 0.830
O 0.084 0.747 0.841
O 0.325 0.511 0.670
O 0.004 0.205 0.751
O 0.000 0.228 0.931
O 0.468 0.091 0.667
O 0.675 0.188 0.827
O 0.913 0.654 0.668
O 0.223 0.223 0.069
O 0.204 0.212 0.250
O 0.798 0.008 0.422
O 0.813 0.488 0.831
O 0.777 0.775 0.930
O 0.480 0.811 0.676
O 0.099 0.630 0.330
O 0.492 0.675 0.171
O 0.621 0.093 0.170
O 0.334 0.810 0.179
O 0.661 0.329 0.478
O 0.087 0.470 0.830
O 0.207 0.013 0.919
O 0.196 0.989 0.741
O 0.813 0.327 0.331
O 0.372 0.485 0.328
O 0.338 0.665 0.024
O 0.788 0.771 0.568
Li 0.341 0.237 0.938
Li 0.904 0.662 0.934
Li 0.097 0.332 0.058
Li 0.763 0.100 0.936
Li 0.669 0.765 0.058
Li 0.330 0.096 0.441
Li 0.899 0.230 0.447
Li 0.975 0.958 0.513
Li 0.763 0.664 0.444
Li 0.230 0.326 0.566
Li 0.032 0.982 0.998
Li 0.338 0.683 0.392
V 0.436 0.435 0.752
V 0.560 0.997 0.746
V 0.566 0.565 0.251
V 0.002 0.567 0.749
V 0.997 0.436 0.249
V 0.435 0.999 0.247
P 0.336 0.665 0.130
P 0.665 0.331 0.372
P 0.771 0.084 0.155
P 0.911 0.222 0.659
P 0.915 0.689 0.153
P 0.669 0.333 0.869
P 0.310 0.086 0.655
P 0.693 0.914 0.341
P 0.086 0.782 0.340
P 0.222 0.918 0.839
P 0.088 0.315 0.842
P 0.689 0.777 0.841
P 0.774 0.684 0.659
P 0.330 0.663 0.632
P 0.311 0.225 0.159
P 0.226 0.320 0.342

Output
Distance to the lowest polymorph of the same formula = 6 meV/atom
Energy of formation = -122.20 eV/f.u.
Corrected total energy (MP2020 scheme) = -7.56 eV/atom

Density functional theory data (PBE with a Hubbard U) for an optimized crystal structure of LiMn2P5O16.

a = 6.824 Å, b = 5.105 Å, c = 18.305 Å
α = 89.15°, β = 90.00°, γ = 90.00°
Positions (direct):
O 0.799 0.664 0.491
O 0.604 0.209 0.710
O 0.699 0.223 0.142
O 0.301 0.223 0.642
O 0.310 0.787 0.864
O 0.971 0.617 0.881
O 0.210 0.361 0.513
O 0.133 0.151 0.303
O 0.424 0.445 0.385
O 0.867 0.151 0.803
O 0.201 0.664 0.991
O 0.563 0.541 0.607
O 0.916 0.931 0.070
O 0.401 0.810 0.291
O 0.396 0.046 0.077
O 0.576 0.445 0.885
O 0.063 0.073 0.928
O 0.437 0.541 0.107
O 0.690 0.787 0.364
O 0.604 0.046 0.577
O 0.396 0.209 0.210
O 0.790 0.361 0.013
O 0.370 0.914 0.429
O 0.042 0.376 0.117
O 0.937 0.073 0.428
O 0.599 0.810 0.791
O 0.630 0.914 0.929
O 0.958 0.376 0.617
O 0.855 0.842 0.694
O 0.145 0.842 0.194
O 0.029 0.617 0.381
O 0.084 0.931 0.570
P 0.253 0.003 0.249
P 0.530 0.255 0.627
P 0.878 0.226 0.082
P 0.747 0.003 0.749
P 0.539 0.737 0.873
P 0.879 0.784 0.419
P 0.122 0.226 0.582
P 0.121 0.784 0.919
P 0.461 0.737 0.373
P 0.470 0.255 0.127
Mn 0.826 0.263 0.907
Mn 0.174 0.263 0.407
Mn 0.173 0.744 0.091
Mn 0.827 0.744 0.591
Li 0.642 0.742 0.034
Li 0.358 0.742 0.534

Output
Energy of formation = -60.94 eV/f.u.
Corrected total energy (MP2020 scheme) = -7.81 eV/atom

Density functional theory data (PBE with a Hubbard U) for an optimized crystal structure of LiMnF4.

a = 6.363 Å, b = 6.363 Å, c = 11.383 Å
α = 90.00°, β = 90.00°, γ = 93.01°
Positions (direct):
Li 0.329 0.329 0.000
Li 0.826 0.174 0.250
Li 0.329 0.329 0.500
Li 0.671 0.671 0.000
Li 0.671 0.671 0.500
Li 0.174 0.826 0.750
F 0.627 0.373 0.560
F 0.373 0.627 0.060
F 0.204 0.796 0.250
F 0.077 0.923 0.902
F 0.066 0.349 0.927
F 0.371 0.212 0.750
F 0.923 0.077 0.098
F 0.651 0.934 0.573
F 0.212 0.371 0.250
F 0.066 0.349 0.573
F 0.370 0.630 0.750
F 0.788 0.629 0.750
F 0.630 0.370 0.250
F 0.349 0.066 0.073
F 0.651 0.934 0.927
F 0.629 0.788 0.250
F 0.934 0.651 0.073
F 0.627 0.373 0.940
F 0.373 0.627 0.440
F 0.934 0.651 0.427
F 0.077 0.923 0.598
F 0.923 0.077 0.402
F 0.796 0.204 0.750
F 0.349 0.066 0.427
Mn 0.147 0.853 0.072
Mn 0.853 0.147 0.928
Mn 0.427 0.573 0.250
Mn 0.147 0.853 0.428
Mn 0.573 0.427 0.750
Mn 0.853 0.147 0.572

Output
Energy of formation = -17.06 eV/f.u.
Corrected total energy (MP2020 scheme) = -5.97 eV/atom

Density functional theory data (PBE with a Hubbard U) for an optimized crystal structure of Cs2Mo3P3O17.

a = 9.781 Å, b = 11.142 Å, c = 16.116 Å
α = 68.27°, β = 90.00°, γ = 90.00°
Positions (direct):
O 0.716 0.809 0.619
O 0.737 0.733 0.788
O 0.712 0.713 0.984
O 0.216 0.191 0.881
O 0.703 0.438 0.026
O 0.430 0.093 0.659
O 0.284 0.191 0.381
O 0.974 0.958 0.335
O 0.108 0.391 0.348
O 0.026 0.042 0.665
O 0.254 0.533 0.645
O 0.739 0.971 0.695
O 0.488 0.839 0.127
O 0.788 0.713 0.484
O 0.411 0.399 0.570
O 0.608 0.609 0.152
O 0.557 0.268 0.998
O 0.268 0.896 0.177
O 0.892 0.609 0.652
O 0.526 0.958 0.835
O 0.980 0.842 0.203
O 0.911 0.601 0.930
O 0.640 0.960 0.974
O 0.531 0.611 0.904
O 0.020 0.158 0.797
O 0.237 0.267 0.712
O 0.140 0.040 0.526
O 0.443 0.732 0.002
O 0.570 0.907 0.341
O 0.763 0.733 0.288
O 0.263 0.267 0.212
O 0.512 0.161 0.873
O 0.797 0.438 0.526
O 0.520 0.842 0.703
O 0.360 0.040 0.026
O 0.057 0.732 0.502
O 0.732 0.104 0.823
O 0.012 0.839 0.627
O 0.203 0.562 0.474
O 0.667 0.230 0.148
O 0.089 0.399 0.070
O 0.988 0.161 0.373
O 0.392 0.391 0.848
O 0.297 0.562 0.974
O 0.212 0.287 0.516
O 0.784 0.809 0.119
O 0.246 0.533 0.145
O 0.768 0.104 0.323
O 0.930 0.907 0.841
O 0.333 0.770 0.852
O 0.167 0.770 0.352
O 0.288 0.287 0.016
O 0.860 0.960 0.474
O 0.969 0.611 0.404
O 0.070 0.093 0.159
O 0.474 0.042 0.165
O 0.754 0.467 0.855
O 0.746 0.467 0.355
O 0.239 0.029 0.805
O 0.232 0.896 0.677
O 0.261 0.029 0.305
O 0.761 0.971 0.195
O 0.469 0.389 0.096
O 0.833 0.230 0.648
O 0.031 0.389 0.596
O 0.589 0.601 0.430
O 0.480 0.158 0.297
O 0.943 0.268 0.498
P 0.594 0.330 0.068
P 0.601 0.042 0.878
P 0.679 0.838 0.704
P 0.906 0.330 0.568
P 0.179 0.162 0.796
P 0.821 0.838 0.204
P 0.399 0.958 0.122
P 0.899 0.042 0.378
P 0.406 0.670 0.932
P 0.101 0.958 0.622
P 0.094 0.670 0.432
P 0.321 0.162 0.296
Mo 0.241 0.420 0.595
Mo 0.741 0.580 0.905
Mo 0.383 0.953 0.745
Mo 0.259 0.420 0.095
Mo 0.759 0.580 0.405
Mo 0.381 0.244 0.937
Mo 0.881 0.756 0.563
Mo 0.117 0.953 0.245
Mo 0.619 0.756 0.063
Mo 0.617 0.047 0.255
Mo 0.883 0.047 0.755
Mo 0.119 0.244 0.437
Cs 0.625 0.406 0.706
Cs 0.125 0.594 0.794
Cs 0.880 0.180 0.991
Cs 0.620 0.180 0.491
Cs 0.375 0.594 0.294
Cs 0.875 0.406 0.206
Cs 0.120 0.820 0.009
Cs 0.380 0.820 0.509

Output
Energy of formation = -59.85 eV/f.u.
Corrected total energy (MP2020 scheme) = -7.78 eV/atom